# KMgF3 (GGA-PBE, relaxed)
data_KMgF3
_chemical_formula_sum 'K1 Mg1 F3'
_cell_length_a 4.0534
_cell_length_b 4.0534
_cell_length_c 4.0534
_cell_angle_alpha 90.00
_cell_angle_beta 90.00
_cell_angle_gamma 90.00
_symmetry_space_group_name_H-M 'P m -3 m'
_symmetry_Int_Tables_number 221
_symmetry_space_group_name_Hall '-P 4 2 3'
loop_
_atom_site_label
_atom_site_type_symbol
_atom_site_fract_x
_atom_site_fract_y
_atom_site_fract_z
K1 K 0.0000 0.0000 0.0000
Mg1 Mg 0.5000 0.5000 0.5000
F1 F 0.0000 0.5000 0.5000
# Formation energy from the elements in eV per atom: -3.546

=====

# Zn15B6Rh17 (GGA-PBE, relaxed)
data_Zn15B6Rh17
_chemical_formula_sum 'Zn15 B6 Rh17'
_cell_length_a 2.8856
_cell_length_b 11.2110
_cell_length_c 14.9929
_cell_angle_alpha 90.00
_cell_angle_beta 90.00
_cell_angle_gamma 90.00
_symmetry_space_group_name_H-M 'P m m 2'
_symmetry_Int_Tables_number 25
loop_
_symmetry_equiv_pos_as_xyz
'x,y,z'
'-x,-y,z'
'-x,y,z'
'x,-y,z'
loop_
_atom_site_label
_atom_site_type_symbol
_atom_site_fract_x
_atom_site_fract_y
_atom_site_fract_z
Zn1 Zn 0.0000 0.0000 0.0000
Zn2 Zn 0.0000 0.1143 0.6553
Zn3 Zn 0.0000 0.1253 0.4220
Zn4 Zn 0.0000 0.2023 0.2538
Zn5 Zn 0.0000 0.2971 0.0521
Zn6 Zn 0.0000 0.3699 0.8881
Zn7 Zn 0.0000 0.3833 0.6447
Zn8 Zn 0.0000 0.5000 0.3058
Zn9 Zn 0.5000 0.5000 0.7713
B1 B 0.0000 0.0000 0.1823
B2 B 0.0000 0.1449 0.8313
B3 B 0.0000 0.3561 0.4731
B4 B 0.0000 0.5000 0.1229
Rh1 Rh 0.5000 0.0000 0.2938
Rh2 Rh 0.5000 0.0000 0.5346
Rh3 Rh 0.5000 0.0000 0.7912
Rh4 Rh 0.5000 0.1218 0.1223
Rh5 Rh 0.5000 0.1738 0.9343
Rh6 Rh 0.5000 0.2503 0.5444
Rh7 Rh 0.5000 0.2578 0.7594
Rh8 Rh 0.5000 0.3242 0.3700
Rh9 Rh 0.5000 0.3784 0.1822
Rh10 Rh 0.5000 0.5000 0.0091
Rh11 Rh 0.5000 0.5000 0.5150
# Formation energy from the elements in eV per atom: -0.429

=====

# BaGa2O4 (GGA-PBE, relaxed)
data_BaGa2O4
_chemical_formula_sum 'Ba24 Ga48 O96'
_cell_length_a 18.8748
_cell_length_b 18.8748
_cell_length_c 8.7986
_cell_angle_alpha 90.00
_cell_angle_beta 90.00
_cell_angle_gamma 120.00
_symmetry_space_group_name_H-M 'P 63'
_symmetry_Int_Tables_number 173
loop_
_symmetry_equiv_pos_as_xyz
'x,y,z'
'x-y,x,z+1/2'
'-y,x-y,z'
'-x,-y,z+1/2'
'-x+y,-x,z'
'y,-x+y,z+1/2'
loop_
_atom_site_label
_atom_site_type_symbol
_atom_site_fract_x
_atom_site_fract_y
_atom_site_fract_z
Ba1 Ba 0.0000 0.0000 0.0000
Ba2 Ba 0.9997 0.4852 0.4791
Ba3 Ba 0.1420 0.3337 0.4685
Ba4 Ba 0.1621 0.8304 0.9703
Ba5 Ba 0.3333 0.6667 0.4478
Ba6 Ba 0.3333 0.6667 0.9484
Ga1 Ga 0.9998 0.3283 0.7588
Ga2 Ga 0.0000 0.3378 0.1692
Ga3 Ga 0.0108 0.8455 0.2777
Ga4 Ga 0.0117 0.8383 0.6720
Ga5 Ga 0.1652 0.5035 0.7717
Ga6 Ga 0.1655 0.5107 0.1683
Ga7 Ga 0.1724 0.6721 0.6688
Ga8 Ga 0.1717 0.6781 0.2749
O1 O 0.0100 0.3437 0.9630
O2 O 0.0406 0.7655 0.7592
O3 O 0.0458 0.2630 0.7111
O4 O 0.0525 0.8658 0.4750
O5 O 0.0529 0.9398 0.7665
O6 O 0.0606 0.6117 0.7220
O7 O 0.0704 0.4291 0.6660
O8 O 0.1015 0.2095 0.1683
O9 O 0.1053 0.7132 0.1817
O10 O 0.1096 0.4013 0.2319
O11 O 0.1199 0.5642 0.2766
O12 O 0.1489 0.5319 0.9674
O13 O 0.1940 0.7179 0.4738
O14 O 0.2183 0.6047 0.6745
O15 O 0.2258 0.7643 0.7923
O16 O 0.2752 0.7219 0.1861
# M_tot in μB/cell: 0.00
# Formation energy from the elements in eV per atom: -2.612
# Energy relative to the lowest polymorph listed for this composition in meV/atom: 1.2

=====

# Cr8Co3NiS16 (GGA-PBE, relaxed)
data_Cr8Co3NiS16
_chemical_formula_sum 'Cr24 Co9 Ni3 S48'
_cell_length_a 6.9261
_cell_length_b 6.9261
_cell_length_c 33.5576
_cell_angle_alpha 90.00
_cell_angle_beta 90.00
_cell_angle_gamma 120.00
_symmetry_space_group_name_H-M 'R 3 m'
_symmetry_Int_Tables_number 160
_symmetry_space_group_name_Hall 'R 3 -2"'
loop_
_atom_site_label
_atom_site_type_symbol
_atom_site_fract_x
_atom_site_fract_y
_atom_site_fract_z
Cr1 Cr 0.0000 0.0000 0.0000
Cr2 Cr 0.0000 0.0000 0.4994
Cr3 Cr 0.0007 0.5004 0.2488
Cr4 Cr 0.0018 0.5009 0.7483
Co1 Co 0.0000 0.0000 0.1866
Co2 Co 0.0000 0.0000 0.3109
Co3 Co 0.0000 0.0000 0.8107
Ni1 Ni 0.0000 0.0000 0.6865
S1 S 0.0000 0.0000 0.1205
S2 S 0.0000 0.0000 0.3766
S3 S 0.0000 0.0000 0.6207
S4 S 0.0000 0.0000 0.8767
S5 S 0.0125 0.5062 0.6229
S6 S 0.0158 0.5079 0.1227
S7 S 0.1731 0.3462 0.7082
S8 S 0.1737 0.3474 0.2085
# M_tot in μB/cell: 81.45
# Formation energy from the elements in eV per atom: -0.856
# Energy relative to the lowest polymorph listed for this composition in meV/atom: 0.0

=====

# Ba2As2S5 (GGA-PBE, relaxed)
data_Ba2As2S5
_chemical_formula_sum 'Ba16 As16 S40'
_cell_length_a 17.7163
_cell_length_b 9.3975
_cell_length_c 12.1079
_cell_angle_alpha 90.00
_cell_angle_beta 90.00
_cell_angle_gamma 90.00
_symmetry_space_group_name_H-M 'P c a 21'
_symmetry_Int_Tables_number 29
loop_
_symmetry_equiv_pos_as_xyz
'x,y,z'
'-x,-y,z+1/2'
'-x+1/2,y,z+1/2'
'x+1/2,-y,z'
loop_
_atom_site_label
_atom_site_type_symbol
_atom_site_fract_x
_atom_site_fract_y
_atom_site_fract_z
Ba1 Ba 0.0719 0.0040 0.0000
Ba2 Ba 0.0768 0.5030 0.0108
Ba3 Ba 0.1762 0.5002 0.3435
Ba4 Ba 0.1788 0.9863 0.3525
As1 As 0.0070 0.7213 0.2714
As2 As 0.1253 0.1381 0.6599
As3 As 0.1301 0.7744 0.7014
As4 As 0.2404 0.2700 0.0824
S1 S 0.0008 0.5163 0.7631
S2 S 0.0397 0.9531 0.7282
S3 S 0.0510 0.7497 0.4470
S4 S 0.0744 0.2022 0.4964
S5 S 0.1161 0.7617 0.1772
S6 S 0.1328 0.2342 0.1775
S7 S 0.1801 0.7569 0.8723
S8 S 0.1975 0.2428 0.9050
S9 S 0.2109 0.9466 0.6200
S10 S 0.2459 0.5056 0.5932
# Formation energy from the elements in eV per atom: -1.372

=====

# Ca13Si10H12O34F10 (GGA-PBE, relaxed)
data_Ca13Si10H12O34F10
_chemical_formula_sum 'Ca39 Si30 H36 O102 F30'
_cell_length_a 9.4412
_cell_length_b 9.4412
_cell_length_c 37.1084
_cell_angle_alpha 90.00
_cell_angle_beta 90.00
_cell_angle_gamma 120.00
_symmetry_space_group_name_H-M 'R -3'
_symmetry_Int_Tables_number 148
_symmetry_space_group_name_Hall '-R 3'
loop_
_atom_site_label
_atom_site_type_symbol
_atom_site_fract_x
_atom_site_fract_y
_atom_site_fract_z
Ca1 Ca 0.0000 0.0000 0.0000
Ca2 Ca 0.0286 0.2292 0.4284
Ca3 Ca 0.0501 0.2337 0.6536
Si1 Si 0.0000 0.0000 0.1168
Si2 Si 0.0000 0.0000 0.2684
Si3 Si 0.0326 0.4513 0.5940
H1 H 0.0292 0.4044 0.1695
H2 H 0.0653 0.8716 0.1740
O1 O 0.0000 0.0000 0.1599
O2 O 0.0000 0.0000 0.3119
O3 O 0.0190 0.5489 0.8467
O4 O 0.0315 0.2840 0.5841
O5 O 0.0579 0.8746 0.9006
O6 O 0.0771 0.2507 0.9696
O7 O 0.0792 0.1868 0.7479
F1 F 0.0000 0.0000 0.3854
F2 F 0.0000 0.0000 0.4563
F3 F 0.0467 0.4380 0.0305
# M_tot in μB/cell: 0.00
# Formation energy from the elements in eV per atom: -3.072

=====

# PaS3 (GGA-PBE, relaxed)
data_PaS3
_chemical_formula_sum 'Pa2 S6'
_cell_length_a 5.7656
_cell_length_b 5.7656
_cell_length_c 5.0033
_cell_angle_alpha 90.00
_cell_angle_beta 90.00
_cell_angle_gamma 120.00
_symmetry_space_group_name_H-M 'P 63/m m c'
_symmetry_Int_Tables_number 194
_symmetry_space_group_name_Hall '-P 6c 2c'
loop_
_atom_site_label
_atom_site_type_symbol
_atom_site_fract_x
_atom_site_fract_y
_atom_site_fract_z
Pa1 Pa 0.3333 0.6667 0.2500
S1 S 0.1760 0.3520 0.7500
# Formation energy from the elements in eV per atom: -1.363